1.
Entry from Materials Project: a geometry-optimized CuPbSO6 structure (GGA-PBE).

Computed properties:
ΔH_f (0 K) in eV per atom: -1.41

abc: 4.757 5.501 10.110
angles: 90.00 102.26 90.00
Space group P2_1/m (No. 11)
One atom of each set of equivalent atoms:
Cu 0.000 0.000 0.000
Pb 0.327 0.250 0.330
S 0.123 0.250 0.662
O 0.062 0.750 0.476
O 0.068 0.028 0.740
O 0.233 0.250 0.083
O 0.253 0.750 0.042
O 0.433 0.250 0.653

=====

2.
Entry from Materials Project: a geometry-optimized CuPbSO6 structure (GGA-PBE).

Computed properties:
ΔH_f (0 K) in eV per atom: -1.18

abc: 4.498 6.129 9.947
angles: 90.00 98.40 90.00
Space group P2_1/m (No. 11)
One atom of each set of equivalent atoms:
Cu 0.000 0.000 0.000
Pb 0.352 0.250 0.351
S 0.483 0.250 0.688
O 0.080 0.750 0.893
O 0.236 0.250 0.070
O 0.290 0.049 0.673
O 0.314 0.750 0.183
O 0.334 0.750 0.429

=====

3.
Entry from Materials Project: a geometry-optimized CuPb4S2O14 structure (GGA-PBE).

Computed properties:
ΔH_f (0 K) in eV per atom: -1.37

abc: 5.271 8.267 8.520
angles: 115.45 99.66 98.94
Space group P-1 (No. 2)
One atom of each set of equivalent atoms:
Cu 0.000 0.000 0.000
Pb 0.355 0.474 0.289
Pb 0.437 0.931 0.751
S 0.060 0.273 0.743
O 0.061 0.476 0.830
O 0.195 0.176 0.223
O 0.203 0.232 0.885
O 0.211 0.238 0.603
O 0.222 0.840 0.340
O 0.271 0.887 0.964
O 0.323 0.620 0.569

=====

4.
Entry from Materials Project: a geometry-optimized Cu2PbSe3O9 structure (GGA-PBE).

Computed properties:
ΔH_f (0 K) in eV per atom: -1.22

abc: 7.912 9.461 12.728
angles: 82.74 73.21 89.86
Space group P-1 (No. 2)
One atom of each set of equivalent atoms:
Cu 0.058 0.059 0.297
Cu 0.120 0.669 0.303
Cu 0.274 0.670 0.039
Cu 0.335 0.258 0.986
Pb 0.375 0.838 0.651
Pb 0.448 0.359 0.658
Se 0.052 0.129 0.871
Se 0.066 0.625 0.872
Se 0.137 0.591 0.554
Se 0.177 0.126 0.506
Se 0.375 0.394 0.195
Se 0.415 0.945 0.175
O 0.063 0.727 0.750
O 0.069 0.721 0.162
O 0.114 0.065 0.746
O 0.123 0.424 0.631
O 0.133 0.943 0.560
O 0.157 0.391 0.049
O 0.157 0.751 0.931
O 0.197 0.547 0.417
O 0.232 0.037 0.157
O 0.242 0.119 0.364
O 0.254 0.214 0.860
O 0.320 0.810 0.286
O 0.351 0.640 0.550
O 0.368 0.577 0.159
O 0.381 0.153 0.525
O 0.457 0.858 0.060
O 0.459 0.601 0.743
O 0.487 0.331 0.069